[1]
# PBE-GGA Na2YAgF6, optimized geometry
data_Na2YAgF6
_cell_length_a 6.4608
_cell_length_b 6.4608
_cell_length_c 6.4608
_cell_angle_alpha 60.00
_cell_angle_beta 60.00
_cell_angle_gamma 60.00
_space_group_name_H-M_alt 'P 1'
_space_group_IT_number 1
_space_group_name_Hall 'P 1'
loop_
_atom_site_label
_atom_site_type_symbol
_atom_site_fract_x
_atom_site_fract_y
_atom_site_fract_z
Na1 Na 0.2500 0.2500 0.2500
Na2 Na 0.7500 0.7500 0.7500
Y1 Y 0.0000 0.0000 0.0000
Ag1 Ag 0.5000 0.5000 0.5000
F1 F 0.2371 0.2371 0.7629
F2 F 0.2371 0.7629 0.2371
F3 F 0.2371 0.7629 0.7629
F4 F 0.7629 0.2371 0.2371
F5 F 0.7629 0.2371 0.7629
F6 F 0.7629 0.7629 0.2371
# - Formation enthalpy at 0 K: -2974 meV/atom
# - Symmetry: No. 225

---

[2]
# PBE-GGA Rb2NbAgF6, optimized geometry
data_Rb2NbAgF6
_cell_length_a 6.4437
_cell_length_b 6.4437
_cell_length_c 6.4437
_cell_angle_alpha 60.00
_cell_angle_beta 60.00
_cell_angle_gamma 60.00
_space_group_name_H-M_alt 'P 1'
_space_group_IT_number 1
_space_group_name_Hall 'P 1'
loop_
_atom_site_label
_atom_site_type_symbol
_atom_site_fract_x
_atom_site_fract_y
_atom_site_fract_z
Rb1 Rb 0.2500 0.2500 0.2500
Rb2 Rb 0.7500 0.7500 0.7500
Nb1 Nb 0.0000 0.0000 0.0000
Ag1 Ag 0.5000 0.5000 0.5000
F1 F 0.2315 0.2315 0.7685
F2 F 0.2315 0.7685 0.2315
F3 F 0.2315 0.7685 0.7685
F4 F 0.7685 0.2315 0.2315
F5 F 0.7685 0.2315 0.7685
F6 F 0.7685 0.7685 0.2315
# - Formation enthalpy at 0 K: -2621 meV/atom
# - Symmetry: No. 225

---

[3]
# PBE-GGA AgO2F, optimized geometry
data_AgO2F
_cell_length_a 5.3559
_cell_length_b 5.3559
_cell_length_c 4.4086
_cell_angle_alpha 90.00
_cell_angle_beta 90.00
_cell_angle_gamma 97.33
_space_group_name_H-M_alt 'P 1'
_space_group_IT_number 1
_space_group_name_Hall 'P 1'
loop_
_atom_site_label
_atom_site_type_symbol
_atom_site_fract_x
_atom_site_fract_y
_atom_site_fract_z
Ag1 Ag 0.2182 0.2182 0.0000
Ag2 Ag 0.7818 0.7818 0.5000
O1 O 0.2921 0.5312 0.2885
O2 O 0.4688 0.7079 0.2115
O3 O 0.5312 0.2920 0.7115
O4 O 0.7079 0.4688 0.7885
F1 F 0.1220 0.8780 0.7500
F2 F 0.8780 0.1220 0.2500
# - Formation enthalpy at 0 K: -637 meV/atom
# - Energy above the most stable polymorph in this dataset: 0.012 eV per atom
# - Symmetry: No. 20

---

[4]
# PBE-GGA AgO2F, optimized geometry
data_AgO2F
_cell_length_a 6.9196
_cell_length_b 6.9196
_cell_length_c 4.8095
_cell_angle_alpha 100.26
_cell_angle_beta 100.26
_cell_angle_gamma 32.80
_space_group_name_H-M_alt 'P 1'
_space_group_IT_number 1
_space_group_name_Hall 'P 1'
loop_
_atom_site_label
_atom_site_type_symbol
_atom_site_fract_x
_atom_site_fract_y
_atom_site_fract_z
Ag1 Ag 0.1706 0.1706 0.2124
Ag2 Ag 0.8294 0.8294 0.7876
O1 O 0.3058 0.6296 0.7765
O2 O 0.3704 0.6942 0.2235
O3 O 0.6296 0.3058 0.7765
O4 O 0.6942 0.3704 0.2235
F1 F 0.2430 0.2430 0.7568
F2 F 0.7570 0.7570 0.2432
# - Formation enthalpy at 0 K: -649 meV/atom
# - Energy above the most stable polymorph in this dataset: 0.000 eV per atom
# - Symmetry: No. 12

---

[5]
# PBE-GGA AgPO2F2, optimized geometry
data_AgPO2F2
_cell_length_a 13.7709
_cell_length_b 13.7709
_cell_length_c 6.3408
_cell_angle_alpha 100.14
_cell_angle_beta 100.14
_cell_angle_gamma 130.78
_space_group_name_H-M_alt 'P 1'
_space_group_IT_number 1
_space_group_name_Hall 'P 1'
loop_
_atom_site_label
_atom_site_type_symbol
_atom_site_fract_x
_atom_site_fract_y
_atom_site_fract_z
Ag1 Ag 0.0241 0.1486 0.0657
Ag2 Ag 0.0253 0.6475 0.1207
Ag3 Ag 0.1486 0.0241 0.5657
Ag4 Ag 0.3525 0.9747 0.3793
Ag5 Ag 0.6475 0.0253 0.6207
Ag6 Ag 0.8514 0.9759 0.4343
Ag7 Ag 0.9747 0.3525 0.8793
Ag8 Ag 0.9759 0.8514 0.9343
P1 P 0.1700 0.3061 0.7002
P2 P 0.1885 0.8115 0.7500
P3 P 0.3061 0.1700 0.2002
P4 P 0.3137 0.6863 0.2500
P5 P 0.6863 0.3137 0.7500
P6 P 0.6939 0.8300 0.7998
P7 P 0.8115 0.1885 0.2500
P8 P 0.8300 0.6939 0.2998
O1 O 0.0919 0.1679 0.5101
O2 O 0.1268 0.3120 0.8996
O3 O 0.1448 0.8273 0.9436
O4 O 0.1600 0.5937 0.1281
O5 O 0.1679 0.0919 0.0101
O6 O 0.1727 0.8552 0.5564
O7 O 0.3120 0.1268 0.3996
O8 O 0.4063 0.8400 0.3719
O9 O 0.5937 0.1600 0.6281
O10 O 0.6880 0.8732 0.6004
O11 O 0.8273 0.1448 0.4436
O12 O 0.8321 0.9081 0.9899
O13 O 0.8400 0.4063 0.8719
O14 O 0.8552 0.1727 0.0564
O15 O 0.8732 0.6880 0.1004
O16 O 0.9081 0.8321 0.4899
F1 F 0.1152 0.6563 0.6385
F2 F 0.1734 0.3993 0.5833
F3 F 0.3283 0.3909 0.7942
F4 F 0.3396 0.6300 0.4236
F5 F 0.3437 0.8848 0.8615
F6 F 0.3700 0.6604 0.0764
F7 F 0.3909 0.3283 0.2942
F8 F 0.3993 0.1734 0.0833
F9 F 0.6007 0.8266 0.9167
F10 F 0.6091 0.6717 0.7058
F11 F 0.6300 0.3396 0.9236
F12 F 0.6563 0.1152 0.1385
F13 F 0.6604 0.3700 0.5764
F14 F 0.6717 0.6091 0.2058
F15 F 0.8266 0.6007 0.4167
F16 F 0.8848 0.3437 0.3615
# - Formation enthalpy at 0 K: -2264 meV/atom
# - Symmetry: No. 15

---

[6]
# PBE-GGA Ag2PO3F, optimized geometry
data_Ag2PO3F
_cell_length_a 5.5027
_cell_length_b 5.5027
_cell_length_c 15.2492
_cell_angle_alpha 91.98
_cell_angle_beta 91.98
_cell_angle_gamma 61.79
_space_group_name_H-M_alt 'P 1'
_space_group_IT_number 1
_space_group_name_Hall 'P 1'
loop_
_atom_site_label
_atom_site_type_symbol
_atom_site_fract_x
_atom_site_fract_y
_atom_site_fract_z
Ag1 Ag 0.0000 0.0000 0.0000
Ag2 Ag 0.0000 0.0000 0.5000
Ag3 Ag 0.0279 0.9721 0.7500
Ag4 Ag 0.3124 0.3863 0.3330
Ag5 Ag 0.3863 0.3124 0.8330
Ag6 Ag 0.6137 0.6876 0.1670
Ag7 Ag 0.6876 0.6137 0.6670
Ag8 Ag 0.9721 0.0279 0.2500
P1 P 0.2687 0.3562 0.1202
P2 P 0.3562 0.2687 0.6202
P3 P 0.6438 0.7313 0.3798
P4 P 0.7313 0.6438 0.8798
O1 O 0.0196 0.3025 0.1085
O2 O 0.1612 0.4899 0.6849
O3 O 0.1932 0.6609 0.1341
O4 O 0.3025 0.0196 0.6085
O5 O 0.3391 0.8068 0.3659
O6 O 0.4899 0.1612 0.1849
O7 O 0.5101 0.8388 0.8151
O8 O 0.6609 0.1932 0.6341
O9 O 0.6975 0.9804 0.3915
O10 O 0.8068 0.3391 0.8659
O11 O 0.8388 0.5101 0.3151
O12 O 0.9804 0.6975 0.8915
F1 F 0.2749 0.4165 0.5265
F2 F 0.4165 0.2749 0.0265
F3 F 0.5835 0.7251 0.9735
F4 F 0.7251 0.5835 0.4735
# - Formation enthalpy at 0 K: -1773 meV/atom
# - Symmetry: No. 15

---

[7]
# PBE-GGA AgS2O6F2, optimized geometry
data_AgS2O6F2
_cell_length_a 10.6117
_cell_length_b 8.0441
_cell_length_c 9.2760
_cell_angle_alpha 90.00
_cell_angle_beta 113.73
_cell_angle_gamma 90.00
_space_group_name_H-M_alt 'P 1'
_space_group_IT_number 1
_space_group_name_Hall 'P 1'
loop_
_atom_site_label
_atom_site_type_symbol
_atom_site_fract_x
_atom_site_fract_y
_atom_site_fract_z
Ag1 Ag 0.0000 0.0000 0.0000
Ag2 Ag 0.0000 0.5000 0.5000
Ag3 Ag 0.5000 0.0000 0.5000
Ag4 Ag 0.5000 0.5000 0.0000
S1 S 0.1425 0.2177 0.3296
S2 S 0.1425 0.2823 0.8296
S3 S 0.3461 0.7331 0.2070
S4 S 0.3461 0.7669 0.7070
S5 S 0.6539 0.2331 0.2930
S6 S 0.6539 0.2669 0.7930
S7 S 0.8575 0.7177 0.1704
S8 S 0.8575 0.7823 0.6704
O1 O 0.0287 0.2029 0.1732
O2 O 0.0287 0.2971 0.6732
O3 O 0.1372 0.1240 0.9050
O4 O 0.1372 0.3760 0.4050
O5 O 0.2144 0.6985 0.6842
O6 O 0.2144 0.8015 0.1842
O7 O 0.2771 0.1746 0.3385
O8 O 0.2771 0.3254 0.8385
O9 O 0.3564 0.6692 0.0645
O10 O 0.3564 0.8308 0.5645
O11 O 0.4680 0.6657 0.8001
O12 O 0.4680 0.8343 0.3001
O13 O 0.5320 0.1657 0.6999
O14 O 0.5320 0.3343 0.1999
O15 O 0.6436 0.1692 0.4355
O16 O 0.6436 0.3308 0.9355
O17 O 0.7229 0.6746 0.1615
O18 O 0.7229 0.8254 0.6615
O19 O 0.7856 0.1985 0.8158
O20 O 0.7856 0.3015 0.3158
O21 O 0.8628 0.6240 0.5950
O22 O 0.8628 0.8760 0.0950
O23 O 0.9713 0.7029 0.3268
O24 O 0.9713 0.7971 0.8268
F1 F 0.1076 0.0827 0.4336
F2 F 0.1076 0.4173 0.9336
F3 F 0.3629 0.5720 0.3125
F4 F 0.3629 0.9280 0.8125
F5 F 0.6371 0.0720 0.1875
F6 F 0.6371 0.4280 0.6875
F7 F 0.8924 0.5827 0.0664
F8 F 0.8924 0.9173 0.5664
# - Formation enthalpy at 0 K: -1675 meV/atom
# - Symmetry: No. 14

---

[8]
# PBE-GGA AgSbSO2F6, optimized geometry
data_AgSbSO2F6
_cell_length_a 7.8362
_cell_length_b 8.4083
_cell_length_c 13.7396
_cell_angle_alpha 90.00
_cell_angle_beta 123.92
_cell_angle_gamma 90.00
_space_group_name_H-M_alt 'P 1'
_space_group_IT_number 1
_space_group_name_Hall 'P 1'
loop_
_atom_site_label
_atom_site_type_symbol
_atom_site_fract_x
_atom_site_fract_y
_atom_site_fract_z
Ag1 Ag 0.2092 0.2394 0.4668
Ag2 Ag 0.2092 0.2606 0.9668
Ag3 Ag 0.7908 0.7394 0.0332
Ag4 Ag 0.7908 0.7606 0.5332
Sb1 Sb 0.1323 0.7397 0.3765
Sb2 Sb 0.1323 0.7603 0.8765
Sb3 Sb 0.8677 0.2397 0.1235
Sb4 Sb 0.8677 0.2603 0.6235
S1 S 0.5004 0.0697 0.7730
S2 S 0.5004 0.4303 0.2730
S3 S 0.4996 0.5697 0.7270
S4 S 0.4996 0.9303 0.2270
O1 O 0.3718 0.0425 0.6473
O2 O 0.3718 0.4575 0.1473
O3 O 0.4210 0.0714 0.1536
O4 O 0.4210 0.4286 0.6536
O5 O 0.5790 0.5714 0.3464
O6 O 0.5790 0.9286 0.8464
O7 O 0.6282 0.5425 0.8527
O8 O 0.6282 0.9575 0.3527
F1 F 0.0773 0.6987 0.4945
F2 F 0.0773 0.8013 0.9945
F3 F 0.0787 0.5386 0.8827
F4 F 0.0787 0.9614 0.3827
F5 F 0.1529 0.2046 0.2441
F6 F 0.1529 0.2954 0.7441
F7 F 0.1742 0.7208 0.7533
F8 F 0.1742 0.7792 0.2533
F9 F 0.1931 0.5174 0.3784
F10 F 0.1931 0.9826 0.8784
F11 F 0.4202 0.7248 0.9927
F12 F 0.4202 0.7752 0.4927
F13 F 0.5798 0.2248 0.5073
F14 F 0.5798 0.2752 0.0073
F15 F 0.8069 0.0174 0.1216
F16 F 0.8069 0.4826 0.6216
F17 F 0.8258 0.2208 0.7467
F18 F 0.8258 0.2792 0.2467
F19 F 0.8471 0.7046 0.2559
F20 F 0.8471 0.7954 0.7559
F21 F 0.9213 0.0386 0.6173
F22 F 0.9213 0.4614 0.1173
F23 F 0.9227 0.1987 0.0055
F24 F 0.9227 0.3013 0.5055
# - Formation enthalpy at 0 K: -2142 meV/atom
# - Symmetry: No. 14

---

[9]
# PBE-GGA AgPXe2F10, optimized geometry
data_AgPXe2F10
_cell_length_a 8.8640
_cell_length_b 8.8640
_cell_length_c 8.8640
_cell_angle_alpha 121.39
_cell_angle_beta 121.39
_cell_angle_gamma 87.61
_space_group_name_H-M_alt 'P 1'
_space_group_IT_number 1
_space_group_name_Hall 'P 1'
loop_
_atom_site_label
_atom_site_type_symbol
_atom_site_fract_x
_atom_site_fract_y
_atom_site_fract_z
Ag1 Ag 0.0000 0.5000 0.5000
Ag2 Ag 0.5000 0.0000 0.5000
P1 P 0.0000 0.0000 0.0000
P2 P 0.5000 0.5000 0.0000
Xe1 Xe 0.0000 0.0000 0.5000
Xe2 Xe 0.0000 0.5000 0.0000
Xe3 Xe 0.5000 0.0000 0.0000
Xe4 Xe 0.5000 0.5000 0.5000
F1 F 0.0331 0.7624 0.5000
F2 F 0.0775 0.8271 0.9046
F3 F 0.1281 0.1281 0.0000
F4 F 0.1729 0.0775 0.2504
F5 F 0.2376 0.7376 0.2707
F6 F 0.2624 0.5331 0.5000
F7 F 0.3271 0.5775 0.9046
F8 F 0.3719 0.3719 0.0000
F9 F 0.4225 0.3271 0.7496
F10 F 0.4669 0.9669 0.7293
F11 F 0.5331 0.0331 0.2707
F12 F 0.5775 0.6729 0.2504
F13 F 0.6281 0.6281 0.0000
F14 F 0.6729 0.4225 0.0954
F15 F 0.7376 0.4669 0.5000
F16 F 0.7624 0.2624 0.7293
F17 F 0.8271 0.9225 0.7496
F18 F 0.8719 0.8719 0.0000
F19 F 0.9225 0.1729 0.0954
F20 F 0.9669 0.2376 0.5000
# - Formation enthalpy at 0 K: -1801 meV/atom
# - Symmetry: No. 140

---

[10]
# PBE-GGA AgPdF6, optimized geometry
data_AgPdF6
_cell_length_a 5.1424
_cell_length_b 5.1880
_cell_length_c 10.2283
_cell_angle_alpha 76.62
_cell_angle_beta 77.07
_cell_angle_gamma 61.03
_space_group_name_H-M_alt 'P 1'
_space_group_IT_number 1
_space_group_name_Hall 'P 1'
loop_
_atom_site_label
_atom_site_type_symbol
_atom_site_fract_x
_atom_site_fract_y
_atom_site_fract_z
Ag1 Ag 0.0000 0.0000 0.0000
Ag2 Ag 0.5000 0.5000 0.5000
Pd1 Pd 0.2021 0.2824 0.2498
Pd2 Pd 0.7979 0.7176 0.7502
F1 F 0.0687 0.6823 0.8682
F2 F 0.1384 0.4446 0.6343
F3 F 0.1648 0.9460 0.3639
F4 F 0.2553 0.6237 0.1361
F5 F 0.4640 0.9750 0.8659
F6 F 0.4797 0.2371 0.3676
F7 F 0.5203 0.7629 0.6324
F8 F 0.5360 0.0250 0.1341
F9 F 0.7447 0.3763 0.8639
F10 F 0.8352 0.0540 0.6361
F11 F 0.8616 0.5554 0.3657
F12 F 0.9313 0.3177 0.1318
# - Formation enthalpy at 0 K: -1539 meV/atom
# - Symmetry: No. 2

---

[11]
# PBE-GGA Rb2AgPdF6, optimized geometry
data_Rb2AgPdF6
_cell_length_a 6.2534
_cell_length_b 6.2534
_cell_length_c 6.2534
_cell_angle_alpha 60.00
_cell_angle_beta 60.00
_cell_angle_gamma 60.00
_space_group_name_H-M_alt 'P 1'
_space_group_IT_number 1
_space_group_name_Hall 'P 1'
loop_
_atom_site_label
_atom_site_type_symbol
_atom_site_fract_x
_atom_site_fract_y
_atom_site_fract_z
Rb1 Rb 0.2500 0.2500 0.2500
Rb2 Rb 0.7500 0.7500 0.7500
Ag1 Ag 0.0000 0.0000 0.0000
Pd1 Pd 0.5000 0.5000 0.5000
F1 F 0.2630 0.2630 0.7370
F2 F 0.2630 0.7370 0.2630
F3 F 0.2630 0.7370 0.7370
F4 F 0.7370 0.2630 0.2630
F5 F 0.7370 0.2630 0.7370
F6 F 0.7370 0.7370 0.2630
# - Formation enthalpy at 0 K: -2170 meV/atom
# - Symmetry: No. 225

---

[12]
# PBE-GGA Rb2PrAgF6, optimized geometry
data_Rb2PrAgF6
_cell_length_a 6.7263
_cell_length_b 6.7263
_cell_length_c 6.7263
_cell_angle_alpha 60.00
_cell_angle_beta 60.00
_cell_angle_gamma 60.00
_space_group_name_H-M_alt 'P 1'
_space_group_IT_number 1
_space_group_name_Hall 'P 1'
loop_
_atom_site_label
_atom_site_type_symbol
_atom_site_fract_x
_atom_site_fract_y
_atom_site_fract_z
Rb1 Rb 0.2500 0.2500 0.2500
Rb2 Rb 0.7500 0.7500 0.7500
Pr1 Pr 0.0000 0.0000 0.0000
Ag1 Ag 0.5000 0.5000 0.5000
F1 F 0.2411 0.2411 0.7589
F2 F 0.2411 0.7589 0.2411
F3 F 0.2411 0.7589 0.7589
F4 F 0.7589 0.2411 0.2411
F5 F 0.7589 0.2411 0.7589
F6 F 0.7589 0.7589 0.2411
# - Formation enthalpy at 0 K: -3116 meV/atom
# - Symmetry: No. 225

---

Which value of formation enthalpy at 0 K does entry 3 give? -637 meV/atom